[1]
First-principles (meta-GGA r2SCAN) data for a relaxed CeMg2 crystal, as listed in Materials Project.

* symmetry: Cmcm
* formation energy from the elements: 0.00 eV per atom
* E: -78.3 eV for the cell shown

Cell lengths 9.0640, 9.0640, 5.1388 Å; angles 90.00, 90.00, 160.10 degrees
Closest atoms and distances in Å follow each position.
Atoms (fractional coordinates):
Ce 0.2658 0.7342 0.2500  6 Ce 3.06-3.13, 2 Mg 3.34
Ce 0.7343 0.2657 0.7500  6 Ce 3.06-3.13, 2 Mg 3.34
Mg 0.6008 0.3992 0.2500  8 Mg 3.11-3.22, 2 Ce 3.34
Mg 0.9429 0.0571 0.2500  10 Mg 3.11-3.28
Mg 0.0569 0.9431 0.7500  10 Mg 3.11-3.28
Mg 0.3992 0.6008 0.7500  8 Mg 3.11-3.22, 2 Ce 3.34

=====

[2]
First-principles (meta-GGA r2SCAN) data for a relaxed BaZrSe3 crystal, as listed in Materials Project.

* symmetry: Pnma
* formation energy from the elements: -1.92 eV per atom
* E: -407.1 eV for the cell shown

Cell lengths 4.0649, 9.1469, 15.1101 Å; angles 90.00, 90.00, 90.00 degrees
Closest atoms and distances in Å follow each position.
Atoms (fractional coordinates):
Ba 0.7500 0.5666 0.1744  8 Se 3.32-3.46
Ba 0.2500 0.4334 0.8256  8 Se 3.32-3.46
Ba 0.7500 0.0666 0.3256  8 Se 3.32-3.46
Ba 0.2500 0.9334 0.6744  8 Se 3.32-3.46
Zr 0.2500 0.6638 0.4407  6 Se 2.58-2.79
Zr 0.7500 0.3362 0.5593  6 Se 2.58-2.79
Zr 0.2500 0.1638 0.0593  6 Se 2.58-2.79
Zr 0.7500 0.8362 0.9407  6 Se 2.58-2.79
Se 0.7500 0.8308 0.5049  2 Zr 2.72
Se 0.2500 0.1692 0.4951  2 Zr 2.72
Se 0.7500 0.3308 0.9951  2 Zr 2.72
Se 0.2500 0.6692 0.0049  2 Zr 2.72
Se 0.2500 0.5238 0.6046  3 Zr 2.75-2.79
Se 0.7500 0.4762 0.3954  3 Zr 2.75-2.79
Se 0.2500 0.0238 0.8954  3 Zr 2.75-2.79
Se 0.7500 0.9762 0.1046  3 Zr 2.75-2.79
Se 0.2500 0.7858 0.2870  1 Zr 2.58
Se 0.7500 0.2142 0.7130  1 Zr 2.58
Se 0.2500 0.2858 0.2130  1 Zr 2.58
Se 0.7500 0.7142 0.7870  1 Zr 2.58

=====

[3]
First-principles (meta-GGA r2SCAN) data for a relaxed TiGeOs crystal, as listed in Materials Project.

* symmetry: Ima2
* formation energy from the elements: -0.59 eV per atom
* E: -489.5 eV for the cell shown

Cell lengths 6.5830, 7.2263, 7.4902 Å; angles 118.84, 116.07, 90.00 degrees
Closest atoms and distances in Å follow each position.
Atoms (fractional coordinates):
Ti 0.2405 0.4787 0.4574  5 Ge 2.64-2.70, 2 Os 2.82
Ti 0.7831 0.5213 0.5426  5 Ge 2.64-2.70, 2 Os 2.82
Ti 0.6660 0.7492 0.9984  5 Ge 2.65-2.74, 4 Os 2.82-2.84
Ti 0.6676 0.2508 0.0016  5 Ge 2.65-2.74, 4 Os 2.82-2.84
Ti 0.8522 0.0551 0.6102  5 Ge 2.67-2.98, 6 Os 2.74-2.88
Ti 0.2420 0.9449 0.3898  5 Ge 2.67-2.98, 6 Os 2.74-2.88
Ge 0.2945 0.2881 0.0763  6 Os 2.46-2.53, 2 Ti 2.70-2.74
Ge 0.2182 0.7119 0.9237  6 Os 2.46-2.53, 2 Ti 2.70-2.74
Ge 0.5791 0.8391 0.6657  3 Os 2.50-2.51, 6 Ti 2.64-2.70
Ge 0.9134 0.1609 0.3343  3 Os 2.50-2.51, 6 Ti 2.64-2.70
Ge 0.9134 0.6734 0.3343  3 Os 2.50-2.51, 6 Ti 2.64-2.70
Ge 0.5791 0.3266 0.6657  3 Os 2.50-2.51, 6 Ti 2.64-2.70
Os 0.9964 0.0000 0.0000  4 Ge 2.51-2.53
Os 0.9964 0.5000 0.0000  4 Ge 2.51-2.53
Os 0.5011 0.6675 0.2530  4 Ge 2.46-2.53, 1 Ti 2.74
Os 0.2481 0.3325 0.7470  4 Ge 2.46-2.53, 1 Ti 2.74
Os 0.2481 0.9146 0.7470  4 Ge 2.46-2.53, 1 Ti 2.74
Os 0.5011 0.0854 0.2530  4 Ge 2.46-2.53, 1 Ti 2.74